{"formula": "Sr2CaMoO6", "functional": "PBE with a Hubbard U", "state": "optimized geometry", "cell": [[5.811, 0.000, 0.000], [0.000, 6.133, 0.000], [0.000, 0.000, 8.336]], "species": ["O", "O", "O", "O", "O", "O", "O", "O", "O", "O", "O", "O", "Sr", "Sr", "Sr", "Sr", "Mo", "Mo", "Ca", "Ca"], "frac_coords": [[0.500, 0.218, 0.268], [0.253, 0.438, 0.500], [0.232, 0.006, 0.000], [0.000, 0.782, 0.232], [0.247, 0.562, 0.000], [0.000, 0.782, 0.768], [0.732, 0.994, 0.500], [0.747, 0.438, 0.500], [0.268, 0.994, 0.500], [0.500, 0.218, 0.732], [0.768, 0.006, 0.000], [0.753, 0.562, 0.000], [0.000, 0.197, 0.268], [0.500, 0.803, 0.768], [0.000, 0.197, 0.732], [0.500, 0.803, 0.232], [0.000, 0.765, 0.000], [0.500, 0.235, 0.500], [0.500, 0.278, 0.000], [0.000, 0.722, 0.500]], "ef_mev_per_atom": -2855}

{"formula": "Ni2S3O12", "functional": "PBE with a Hubbard U", "state": "optimized geometry", "cell": [[4.246, 6.452, 0.000], [-4.246, 6.452, 0.000], [0.000, 3.669, 7.894]], "species": ["O", "O", "O", "O", "O", "O", "O", "O", "O", "O", "O", "O", "O", "O", "O", "O", "O", "O", "O", "O", "O", "O", "O", "O", "S", "S", "S", "S", "S", "S", "Ni", "Ni", "Ni", "Ni"], "frac_coords": [[0.651, 0.393, 0.380], [0.040, 0.133, 0.116], [0.607, 0.349, 0.120], [0.393, 0.651, 0.880], [0.740, 0.608, 0.812], [0.349, 0.607, 0.620], [0.463, 0.129, 0.359], [0.392, 0.260, 0.688], [0.133, 0.040, 0.616], [0.960, 0.867, 0.884], [0.787, 0.092, 0.677], [0.872, 0.504, 0.432], [0.092, 0.787, 0.177], [0.496, 0.128, 0.068], [0.908, 0.213, 0.823], [0.213, 0.908, 0.323], [0.871, 0.537, 0.141], [0.260, 0.392, 0.188], [0.129, 0.463, 0.859], [0.537, 0.871, 0.641], [0.867, 0.960, 0.384], [0.128, 0.496, 0.568], [0.504, 0.872, 0.932], [0.608, 0.740, 0.312], [0.750, 0.542, 0.320], [0.051, 0.949, 0.250], [0.542, 0.750, 0.820], [0.250, 0.458, 0.680], [0.458, 0.250, 0.180], [0.949, 0.051, 0.750], [0.376, 0.876, 0.482], [0.876, 0.376, 0.982], [0.124, 0.624, 0.018], [0.624, 0.124, 0.518]], "ef_mev_per_atom": -1530, "e_above_lowest_polymorph_mev_per_atom": 39}

{"formula": "Fe2O3", "functional": "PBE with a Hubbard U", "state": "optimized geometry", "cell": [[4.733, 6.737, 0.000], [-4.733, 6.737, 0.000], [0.000, 6.686, 6.738]], "species": ["O", "O", "O", "O", "O", "O", "O", "O", "O", "O", "O", "O", "O", "O", "O", "O", "O", "O", "O", "O", "O", "O", "O", "O", "Fe", "Fe", "Fe", "Fe", "Fe", "Fe", "Fe", "Fe", "Fe", "Fe", "Fe", "Fe", "Fe", "Fe", "Fe", "Fe"], "frac_coords": [[0.459, 0.239, 0.284], [0.277, 0.953, 0.747], [0.264, 0.040, 0.985], [0.006, 0.770, 0.706], [0.995, 0.223, 0.802], [0.741, 0.952, 0.516], [0.761, 0.541, 0.716], [0.731, 0.497, 0.474], [0.503, 0.269, 0.526], [0.462, 0.779, 0.514], [0.048, 0.259, 0.484], [0.960, 0.736, 0.015], [0.777, 0.005, 0.198], [0.503, 0.728, 0.972], [0.545, 0.225, 0.972], [0.729, 0.043, 0.752], [0.272, 0.497, 0.028], [0.545, 0.757, 0.215], [0.243, 0.455, 0.785], [0.775, 0.455, 0.028], [0.957, 0.271, 0.248], [0.221, 0.538, 0.486], [0.047, 0.723, 0.253], [0.230, 0.994, 0.294], [0.536, 0.464, 0.000], [0.248, 0.244, 0.044], [0.465, 0.535, 0.500], [0.503, 0.997, 0.254], [0.753, 0.750, 0.460], [0.005, 0.499, 0.247], [0.250, 0.247, 0.540], [0.042, 0.958, 0.000], [0.288, 0.788, 0.214], [0.783, 0.279, 0.722], [0.965, 0.035, 0.500], [0.501, 0.995, 0.753], [0.721, 0.217, 0.278], [0.212, 0.712, 0.786], [0.003, 0.497, 0.746], [0.756, 0.752, 0.956]], "ef_mev_per_atom": -1622}

{"formula": "Li3V2P4H2O16", "functional": "PBE with a Hubbard U", "state": "optimized geometry", "cell": [[4.905, -8.087, -0.010], [4.847, 8.052, 0.008], [3.009, -0.002, 7.309]], "species": ["Li", "Li", "Li", "Li", "Li", "Li", "O", "O", "O", "O", "O", "O", "O", "O", "O", "O", "O", "O", "O", "O", "O", "O", "O", "O", "O", "O", "O", "O", "O", "O", "O", "O", "O", "O", "O", "O", "O", "O", "P", "P", "P", "P", "P", "P", "P", "P", "V", "V", "V", "V", "H", "H", "H", "H"], "frac_coords": [[0.045, 0.412, 0.655], [0.459, 0.095, 0.341], [0.657, 0.788, 0.155], [0.959, 0.596, 0.344], [0.550, 0.914, 0.657], [0.337, 0.207, 0.849], [0.067, 0.727, 0.856], [0.232, 0.055, 0.689], [0.807, 0.483, 0.187], [0.127, 0.065, 0.052], [0.732, 0.555, 0.684], [0.018, 0.190, 0.649], [0.182, 0.626, 0.447], [0.187, 0.511, 0.814], [0.506, 0.688, 0.649], [0.768, 0.948, 0.306], [0.562, 0.236, 0.850], [0.164, 0.114, 0.355], [0.687, 0.128, 0.448], [0.866, 0.409, 0.842], [0.695, 0.015, 0.809], [0.630, 0.090, 0.163], [0.270, 0.444, 0.319], [0.378, 0.431, 0.940], [0.992, 0.816, 0.350], [0.312, 0.994, 0.193], [0.133, 0.587, 0.159], [0.331, 0.382, 0.654], [0.819, 0.375, 0.556], [0.845, 0.892, 0.650], [0.665, 0.617, 0.338], [0.929, 0.273, 0.143], [0.873, 0.941, 0.950], [0.436, 0.761, 0.150], [0.313, 0.875, 0.552], [0.369, 0.914, 0.836], [0.615, 0.561, 0.054], [0.486, 0.312, 0.355], [0.145, 0.993, 0.231], [0.858, 0.009, 0.761], [0.238, 0.891, 0.739], [0.258, 0.605, 0.268], [0.354, 0.509, 0.765], [0.756, 0.108, 0.268], [0.643, 0.493, 0.227], [0.739, 0.395, 0.739], [0.500, 0.999, 0.002], [0.996, 0.496, 0.004], [0.752, 0.751, 0.503], [0.247, 0.250, 0.489], [0.983, 0.995, 0.987], [0.757, 0.267, 0.515], [0.254, 0.766, 0.512], [0.486, 0.494, 0.988]], "ef_mev_per_atom": -2529, "e_above_lowest_polymorph_mev_per_atom": 69}

{"formula": "FeOF", "functional": "PBE with a Hubbard U", "state": "optimized geometry", "cell": [[3.064, 0.000, 0.000], [0.000, 4.803, 0.000], [0.000, 0.674, 14.313]], "species": ["F", "F", "F", "F", "F", "F", "O", "O", "O", "O", "O", "O", "Fe", "Fe", "Fe", "Fe", "Fe", "Fe"], "frac_coords": [[0.500, 0.238, 0.731], [0.500, 0.834, 0.600], [0.000, 0.339, 0.893], [0.500, 0.762, 0.269], [0.000, 0.661, 0.107], [0.500, 0.166, 0.400], [0.500, 0.175, 0.063], [0.500, 0.825, 0.937], [0.000, 0.683, 0.433], [0.000, 0.253, 0.236], [0.000, 0.317, 0.567], [0.000, 0.747, 0.764], [0.500, 0.593, 0.834], [0.500, 0.407, 0.166], [0.000, 0.962, 0.334], [0.000, 0.038, 0.666], [0.000, 0.000, 0.000], [0.500, 0.500, 0.500]], "ef_mev_per_atom": -2029}

{"formula": "KMg6FeO8", "functional": "PBE with a Hubbard U", "state": "optimized geometry", "cell": [[-3.680, -6.236, -4.965], [3.729, -0.345, -2.331], [1.461, -3.086, 2.793]], "species": ["K", "Mg", "Mg", "Mg", "Mg", "Mg", "Mg", "O", "O", "O", "O", "O", "O", "O", "O", "Fe"], "frac_coords": [[0.000, 0.500, 0.500], [0.743, 0.000, 0.500], [0.500, 0.000, 0.000], [0.257, 0.500, 0.000], [0.257, 0.000, 0.500], [0.743, 0.500, 0.000], [0.500, 0.500, 0.500], [0.758, 0.000, 0.000], [0.000, 0.500, 0.000], [0.242, 0.000, 0.000], [0.500, 0.500, 0.000], [0.500, 0.000, 0.500], [0.000, 0.000, 0.500], [0.724, 0.500, 0.500], [0.276, 0.500, 0.500], [0.000, 0.000, 0.000]], "ef_mev_per_atom": -2442, "e_above_lowest_polymorph_mev_per_atom": 5}

{"formula": "MgV2Cu3O8", "functional": "PBE with a Hubbard U", "state": "optimized geometry", "cell": [[5.291, 0.009, 0.178], [2.161, 4.661, 1.797], [-0.096, -0.320, 6.868]], "species": ["V", "V", "O", "O", "O", "O", "O", "O", "O", "O", "Cu", "Cu", "Cu", "Mg"], "frac_coords": [[0.636, 0.653, 0.210], [0.366, 0.341, 0.783], [0.118, 0.688, 0.674], [0.754, 0.787, 0.984], [0.278, 0.680, 0.205], [0.690, 0.358, 0.819], [0.660, 0.842, 0.376], [0.389, 0.155, 0.607], [0.248, 0.204, 0.014], [0.882, 0.306, 0.318], [0.675, 0.748, 0.710], [0.003, 0.005, 0.969], [0.300, 0.264, 0.294], [0.013, 0.895, 0.387]], "ef_mev_per_atom": -1812, "e_above_lowest_polymorph_mev_per_atom": 0}

{"formula": "Li4Co2P3O12", "functional": "PBE with a Hubbard U", "state": "optimized geometry", "cell": [[9.109, -0.003, 0.116], [3.927, -7.560, -0.037], [3.836, -2.824, -6.900]], "species": ["Co", "Co", "Co", "Co", "O", "O", "O", "O", "O", "O", "O", "O", "O", "O", "O", "O", "O", "O", "O", "O", "O", "O", "O", "O", "O", "O", "O", "O", "Li", "Li", "Li", "Li", "Li", "Li", "Li", "Li", "P", "P", "P", "P", "P", "P"], "frac_coords": [[0.441, 0.855, 0.858], [0.040, 0.648, 0.661], [0.559, 0.145, 0.142], [0.960, 0.352, 0.339], [0.411, 0.185, 0.411], [0.258, 0.119, 0.762], [0.272, 0.849, 0.138], [0.104, 0.556, 0.142], [0.576, 0.024, 0.780], [0.742, 0.881, 0.238], [0.801, 0.507, 0.161], [0.193, 0.459, 0.512], [0.422, 0.401, 0.000], [0.578, 0.599, 0.000], [0.424, 0.976, 0.220], [0.106, 0.149, 0.203], [0.728, 0.151, 0.862], [0.800, 0.170, 0.522], [0.200, 0.830, 0.478], [0.283, 0.746, 0.825], [0.807, 0.541, 0.488], [0.090, 0.205, 0.548], [0.199, 0.493, 0.839], [0.910, 0.795, 0.452], [0.717, 0.254, 0.175], [0.896, 0.444, 0.858], [0.589, 0.815, 0.589], [0.894, 0.851, 0.797], [0.855, 0.336, 0.726], [0.103, 0.929, 0.691], [0.861, 0.729, 0.081], [0.145, 0.664, 0.274], [0.584, 0.213, 0.466], [0.897, 0.071, 0.309], [0.416, 0.787, 0.534], [0.139, 0.271, 0.919], [0.252, 0.545, 0.954], [0.761, 0.755, 0.447], [0.748, 0.455, 0.046], [0.747, 0.047, 0.744], [0.253, 0.953, 0.256], [0.239, 0.245, 0.553]], "ef_mev_per_atom": -2400, "e_above_lowest_polymorph_mev_per_atom": 2}

{"formula": "Li4MnO2F2", "functional": "PBE with a Hubbard U", "state": "optimized geometry", "cell": [[3.938, 5.350, 0.793], [4.943, -4.092, 3.058], [3.410, -1.413, -7.404]], "species": ["Li", "Li", "Li", "Li", "Li", "Li", "Li", "Li", "Li", "Li", "Li", "Li", "Li", "Li", "Li", "Li", "Mn", "Mn", "Mn", "Mn", "O", "O", "O", "O", "O", "O", "O", "O", "F", "F", "F", "F", "F", "F", "F", "F"], "frac_coords": [[0.750, 0.762, 0.658], [0.500, 0.000, 0.168], [0.000, 0.500, 0.668], [0.000, 0.000, 0.832], [0.750, 0.262, 0.158], [0.250, 0.738, 0.158], [0.000, 0.000, 0.168], [0.500, 0.500, 0.332], [0.000, 0.500, 0.332], [0.500, 0.500, 0.668], [0.250, 0.238, 0.658], [0.500, 0.000, 0.832], [0.750, 0.762, 0.342], [0.250, 0.738, 0.842], [0.250, 0.238, 0.342], [0.750, 0.262, 0.842], [0.250, 0.876, 0.500], [0.750, 0.624, 0.000], [0.750, 0.124, 0.500], [0.250, 0.376, 0.000], [0.750, 0.525, 0.777], [0.750, 0.025, 0.277], [0.250, 0.475, 0.223], [0.250, 0.475, 0.777], [0.250, 0.975, 0.723], [0.750, 0.525, 0.223], [0.750, 0.025, 0.723], [0.250, 0.975, 0.277], [0.472, 0.299, 0.500], [0.028, 0.299, 0.500], [0.528, 0.201, 0.000], [0.472, 0.799, 0.000], [0.028, 0.799, 0.000], [0.972, 0.201, 0.000], [0.972, 0.701, 0.500], [0.528, 0.701, 0.500]], "ef_mev_per_atom": -2443}

{"formula": "Mn12O7F17", "functional": "PBE with a Hubbard U", "state": "optimized geometry", "cell": [[-1.846, 3.961, -2.041], [-5.538, -1.651, 0.643], [-0.616, 7.106, 14.091]], "species": ["O", "O", "O", "O", "O", "O", "O", "F", "F", "F", "F", "F", "F", "F", "F", "F", "F", "F", "F", "F", "F", "F", "F", "F", "Mn", "Mn", "Mn", "Mn", "Mn", "Mn", "Mn", "Mn", "Mn", "Mn", "Mn", "Mn"], "frac_coords": [[0.773, 0.115, 0.470], [0.776, 0.112, 0.129], [0.278, 0.615, 0.367], [0.277, 0.613, 0.031], [0.783, 0.127, 0.808], [0.713, 0.387, 0.974], [0.716, 0.377, 0.643], [0.774, 0.881, 0.972], [0.747, 0.614, 0.474], [0.272, 0.376, 0.850], [0.749, 0.615, 0.151], [0.263, 0.609, 0.700], [0.231, 0.879, 0.186], [0.782, 0.890, 0.305], [0.714, 0.628, 0.818], [0.238, 0.110, 0.352], [0.766, 0.877, 0.643], [0.733, 0.382, 0.312], [0.220, 0.107, 0.685], [0.300, 0.378, 0.189], [0.269, 0.389, 0.527], [0.232, 0.889, 0.529], [0.234, 0.881, 0.867], [0.222, 0.118, 0.016], [0.983, 0.850, 0.756], [0.514, 0.650, 0.586], [0.517, 0.346, 0.080], [0.989, 0.171, 0.237], [0.492, 0.341, 0.418], [0.519, 0.329, 0.747], [0.005, 0.850, 0.416], [0.995, 0.844, 0.080], [0.976, 0.177, 0.913], [0.491, 0.668, 0.260], [0.968, 0.164, 0.579], [0.487, 0.643, 0.927]], "ef_mev_per_atom": -2565, "e_above_lowest_polymorph_mev_per_atom": 12}

{"formula": "Li4Co3SbO8", "functional": "PBE with a Hubbard U", "state": "optimized geometry", "cell": [[-5.899, 0.103, 1.084], [-2.006, -1.702, 5.391], [-2.258, 4.120, 3.769]], "species": ["O", "O", "O", "O", "O", "O", "O", "O", "Co", "Co", "Co", "Li", "Li", "Li", "Li", "Sb"], "frac_coords": [[0.237, 0.237, 0.757], [0.236, 0.759, 0.767], [0.727, 0.727, 0.761], [0.764, 0.241, 0.233], [0.763, 0.763, 0.243], [0.759, 0.236, 0.767], [0.241, 0.764, 0.233], [0.273, 0.273, 0.239], [0.500, 0.000, 0.500], [0.000, 0.500, 0.500], [0.500, 0.500, 0.000], [0.500, 0.500, 0.500], [0.000, 0.000, 0.500], [0.000, 0.500, 0.000], [0.500, 0.000, 0.000], [0.000, 0.000, 0.000]], "ef_mev_per_atom": -1735}